A relaxed Ho2Te5O13 crystal, computed with GGA-PBE.

Cell and atoms, written as POSCAR:
```
Ho2Te5O13
1.0
-6.001 -1.044 3.476
1.842 -6.244 5.882
2.397 7.484 7.390
O Te Ho
26 10 4
direct
0.957 0.649 0.433
0.673 0.771 0.223
0.337 0.514 0.620
0.043 0.351 0.567
0.649 0.019 0.875
0.934 0.983 0.307
0.933 0.735 0.725
0.671 0.260 0.224
0.941 0.183 0.961
0.314 0.735 0.285
0.066 0.017 0.693
0.124 0.490 0.895
0.533 0.331 0.000
0.329 0.740 0.776
0.351 0.981 0.125
0.460 0.195 0.521
0.663 0.486 0.380
0.876 0.510 0.105
0.067 0.265 0.275
0.236 0.496 0.187
0.467 0.669 0.000
0.540 0.805 0.479
0.764 0.504 0.813
0.686 0.265 0.715
0.327 0.229 0.777
0.059 0.817 0.039
0.122 0.351 0.107
0.709 0.125 0.022
0.845 0.197 0.355
0.272 0.394 0.489
0.559 0.100 0.699
0.878 0.649 0.893
0.155 0.803 0.645
0.728 0.606 0.511
0.441 0.900 0.301
0.291 0.875 0.978
0.000 0.262 0.761
0.447 0.472 0.821
0.000 0.738 0.239
0.553 0.528 0.179
```

## Properties
- Volume: 16.011 A^3/atom



A relaxed Mg6GaSi crystal, computed with GGA-PBE.

Cell and atoms, written as POSCAR:
```
Mg6GaSi
1.0
4.788 0.000 0.000
0.000 6.468 0.000
0.000 0.000 10.621
Mg Ga Si
12 2 2
direct
0.500 0.750 0.584
0.000 0.500 0.669
0.000 0.249 0.913
0.000 0.251 0.413
0.500 0.750 0.084
0.500 0.250 0.584
0.000 0.751 0.913
0.000 0.500 0.170
0.500 0.250 0.084
0.000 0.000 0.670
0.000 0.000 0.169
0.000 0.749 0.413
0.500 0.500 0.833
0.500 0.000 0.333
0.500 0.500 0.334
0.500 0.000 0.834
```

## Properties
- E above lowest polymorph: 0.00 eV/f.u.
- Volume: 20.558 A^3/atom
- Total magnetic moment: 0.0 μB per formula unit



A relaxed MgTe2MoW2Se2S2 crystal, computed with GGA-PBE.

Cell and atoms, written as POSCAR:
```
MgTe2MoW2Se2S2
1.0
-1.240 -2.908 1.132
1.725 2.007 2.067
-31.784 17.183 9.835
Se Mo Te S W Mg
2 1 2 2 2 1
direct
0.335 0.667 0.402
0.341 0.671 0.312
0.334 0.667 0.111
0.665 0.332 0.629
0.669 0.335 0.528
0.665 0.332 0.151
0.670 0.335 0.071
0.334 0.667 0.578
0.671 0.336 0.357
0.662 0.331 0.223
```

## Properties
- E above lowest polymorph: 0.30 eV/f.u.
- Volume: 36.570 A^3/atom
- Total magnetic moment: 0.0 μB per formula unit



A relaxed LiMgH3 crystal, computed with GGA-PBE.

Cell and atoms, written as POSCAR:
```
LiMgH3
1.0
4.663 -2.479 0.000
4.663 2.479 0.000
3.345 0.000 4.087
H Mg Li
6 2 2
direct
0.701 0.102 0.390
0.890 0.602 0.201
0.602 0.201 0.890
0.201 0.890 0.602
0.102 0.390 0.701
0.390 0.701 0.102
0.499 0.499 0.499
0.999 0.999 0.999
0.289 0.289 0.289
0.789 0.789 0.789
```

## Properties
- Piezoelectric modulus e_max: 0.4 C/m2
- Volume: 9.449 A^3/atom



A relaxed Tb3Al2 crystal, computed with GGA-PBE.

Cell and atoms, written as POSCAR:
```
Tb3Al2
1.0
8.281 0.000 0.000
0.000 8.281 0.000
0.000 0.000 7.608
Tb Al
12 8
direct
0.150 0.850 0.000
0.798 0.202 0.500
0.298 0.298 0.000
0.650 0.650 0.500
0.000 0.500 0.750
0.000 0.500 0.250
0.702 0.702 0.000
0.500 0.000 0.750
0.500 0.000 0.250
0.350 0.350 0.500
0.850 0.150 0.000
0.202 0.798 0.500
0.619 0.381 0.806
0.881 0.881 0.306
0.381 0.619 0.806
0.119 0.119 0.306
0.881 0.881 0.694
0.619 0.381 0.194
0.381 0.619 0.194
0.119 0.119 0.694
```

## Properties
- Volume: 26.086 A^3/atom



A relaxed CaEuMgBiO6 crystal, computed with GGA-PBE.

Cell and atoms, written as POSCAR:
```
CaEuMgBiO6
1.0
0.000 -4.079 -4.079
4.079 0.000 -4.079
4.079 -4.079 0.000
Mg O Eu Bi Ca
1 6 1 1 1
direct
0.500 0.500 0.500
0.746 0.254 0.746
0.254 0.746 0.254
0.254 0.254 0.746
0.746 0.746 0.254
0.746 0.254 0.254
0.254 0.746 0.746
0.750 0.750 0.750
0.000 0.000 0.000
0.250 0.250 0.250
```

## Properties
- Volume: 13.573 A^3/atom
- Total magnetic moment: 6.0 μB per formula unit



A relaxed Cs2YAuF6 crystal, computed with GGA-PBE.

Cell and atoms, written as POSCAR:
```
Cs2YAuF6
1.0
5.889 0.000 0.000
2.945 5.100 0.000
2.945 1.700 4.809
F Cs Y Au
6 2 1 1
direct
0.232 0.768 0.768
0.232 0.232 0.768
0.768 0.232 0.232
0.768 0.232 0.768
0.768 0.768 0.232
0.232 0.768 0.232
0.250 0.250 0.250
0.750 0.750 0.750
0.000 0.000 0.000
0.500 0.500 0.500
```

## Properties
- Volume: 14.443 A^3/atom
- Total magnetic moment: 0.0 μB per formula unit



A relaxed Na2CaZnS3O12 crystal, computed with GGA-PBE.

Cell and atoms, written as POSCAR:
```
Na2CaZnS3O12
1.0
-0.754 -4.453 7.867
7.193 -1.355 -5.275
11.085 17.173 10.873
O S Na Zn Ca
72 18 12 6 6
direct
0.328 0.881 0.976
0.870 0.512 0.415
0.338 0.480 0.744
0.497 0.140 0.920
0.998 0.178 0.917
0.458 0.120 0.640
0.880 0.572 0.036
0.489 0.324 0.740
0.567 0.876 0.464
0.330 0.854 0.587
0.846 0.332 0.917
0.141 0.670 0.744
0.830 0.519 0.739
0.535 0.846 0.747
0.340 0.474 0.091
0.655 0.139 0.135
0.978 0.201 0.306
0.301 0.446 0.459
0.339 0.462 0.354
0.018 0.825 0.406
0.969 0.775 0.793
0.661 0.541 0.644
0.161 0.470 0.255
0.806 0.830 0.914
0.780 0.799 0.198
0.209 0.212 0.693
0.696 0.553 0.539
0.692 0.124 0.031
0.004 0.792 0.689
0.108 0.447 0.864
0.144 0.671 0.090
0.131 0.489 0.584
0.186 0.993 0.918
0.669 0.144 0.412
0.549 0.661 0.858
0.659 0.518 0.915
0.345 0.874 0.871
0.318 0.847 0.256
0.525 0.661 0.586
0.209 0.028 0.298
0.984 0.176 0.591
0.114 0.443 0.969
0.877 0.541 0.141
0.469 0.160 0.246
0.803 0.988 0.699
0.513 0.869 0.087
0.675 0.521 0.246
0.849 0.319 0.244
0.825 0.017 0.095
0.835 0.813 0.592
0.202 0.977 0.194
0.522 0.675 0.254
0.136 0.652 0.365
0.441 0.300 0.041
0.789 0.024 0.804
0.866 0.347 0.633
0.434 0.123 0.534
0.188 0.162 0.097
0.990 0.823 0.095
0.540 0.878 0.359
0.874 0.310 0.529
0.163 0.189 0.404
0.474 0.340 0.412
0.028 0.209 0.202
0.682 0.158 0.740
0.127 0.692 0.470
0.820 0.988 0.406
0.541 0.679 0.963
0.179 0.010 0.591
0.238 0.214 0.798
0.799 0.780 0.303
0.461 0.337 0.146
0.988 0.690 0.741
0.314 0.303 0.743
0.699 0.699 0.250
0.677 0.641 0.591
0.675 0.039 0.088
0.359 0.321 0.094
0.645 0.966 0.410
0.322 0.361 0.407
0.001 0.298 0.252
0.968 0.647 0.091
0.336 0.971 0.921
0.637 0.669 0.912
0.298 0.000 0.249
0.962 0.327 0.585
0.021 0.355 0.917
0.355 0.032 0.588
0.040 0.674 0.414
0.704 0.007 0.747
0.975 0.306 0.411
0.688 0.022 0.917
0.307 0.976 0.089
0.000 0.000 0.500
0.668 0.332 0.329
0.643 0.640 0.745
0.363 0.363 0.250
0.334 0.667 0.666
0.333 0.669 0.172
0.024 0.694 0.588
0.667 0.332 0.830
0.999 0.001 0.003
0.995 0.985 0.343
0.339 0.683 0.318
0.985 0.994 0.157
0.661 0.318 0.679
0.006 0.015 0.653
0.684 0.341 0.183
0.672 0.350 0.988
0.317 0.660 0.814
0.651 0.327 0.482
0.016 0.006 0.846
0.348 0.673 0.516
0.327 0.650 0.021
```

## Properties
- Volume: 14.398 A^3/atom
- Total magnetic moment: 0.0 μB per formula unit



A relaxed MnB2H8 crystal, computed with GGA-PBE.

Cell and atoms, written as POSCAR:
```
MnB2H8
1.0
5.140 -8.903 0.000
5.140 8.903 0.000
0.000 0.000 10.978
H B Mn
72 18 9
direct
0.756 0.073 0.992
0.522 0.804 0.418
0.075 0.762 0.881
0.548 0.981 0.738
0.113 0.408 0.587
0.345 0.426 0.569
0.282 0.804 0.915
0.238 0.925 0.786
0.492 0.434 0.702
0.080 0.655 0.236
0.359 0.272 0.972
0.525 0.283 0.087
0.954 0.102 0.920
0.574 0.920 0.903
0.592 0.706 0.920
0.914 0.016 0.151
0.717 0.241 0.420
0.942 0.508 0.369
0.359 0.086 0.028
0.728 0.641 0.695
0.728 0.086 0.305
0.345 0.920 0.431
0.984 0.086 0.516
0.756 0.682 0.008
0.759 0.475 0.754
0.914 0.898 0.849
0.318 0.244 0.659
0.432 0.452 0.404
0.566 0.508 0.964
0.927 0.682 0.325
0.080 0.426 0.764
0.196 0.478 0.249
0.148 0.046 0.587
0.148 0.102 0.413
0.492 0.058 0.298
0.294 0.887 0.253
0.522 0.718 0.582
0.914 0.641 0.638
0.113 0.706 0.413
0.432 0.981 0.596
0.914 0.272 0.362
0.075 0.313 0.119
0.984 0.898 0.484
0.019 0.452 0.929
0.196 0.718 0.751
0.102 0.016 0.183
0.019 0.568 0.071
0.574 0.655 0.097
0.655 0.510 0.381
0.855 0.510 0.953
0.687 0.925 0.547
0.525 0.241 0.913
0.102 0.086 0.817
0.490 0.145 0.714
0.759 0.283 0.246
0.592 0.887 0.080
0.927 0.244 0.675
0.282 0.478 0.085
0.548 0.568 0.262
0.294 0.408 0.747
0.717 0.475 0.580
0.318 0.073 0.341
0.238 0.313 0.214
0.566 0.058 0.036
0.687 0.762 0.453
0.655 0.145 0.619
0.898 0.046 0.746
0.898 0.852 0.254
0.490 0.345 0.286
0.942 0.434 0.631
0.855 0.345 0.047
0.954 0.852 0.080
0.198 0.802 0.833
0.361 0.379 0.669
0.532 0.064 0.667
0.781 0.219 0.333
0.621 0.982 0.002
0.018 0.379 0.664
0.966 0.933 0.167
0.439 0.219 0.000
0.067 0.034 0.500
0.621 0.639 0.998
0.966 0.034 0.833
0.604 0.802 0.500
0.936 0.468 0.000
0.361 0.982 0.331
0.532 0.468 0.333
0.781 0.561 0.667
0.018 0.639 0.336
0.198 0.396 0.167
0.574 0.020 0.455
0.574 0.555 0.545
0.445 0.426 0.122
0.980 0.555 0.789
0.100 0.900 0.333
0.980 0.426 0.211
0.800 0.900 0.000
0.445 0.020 0.878
0.100 0.200 0.667
```

## Properties
- E above lowest polymorph: 0.00 eV/f.u.
- Volume: 10.148 A^3/atom
- Total magnetic moment: 5.0 μB per formula unit



A relaxed RbCuO crystal, computed with GGA-PBE.

Cell and atoms, written as POSCAR:
```
RbCuO
1.0
0.000 0.000 -5.916
-4.823 -4.823 -2.958
-4.823 4.823 -2.958
Cu O Rb
4 4 4
direct
0.885 0.229 0.500
0.615 0.771 0.500
0.615 0.500 0.771
0.885 0.500 0.229
0.489 0.770 0.770
0.741 0.230 0.770
0.741 0.770 0.230
0.029 0.230 0.230
0.554 0.194 0.194
0.941 0.806 0.806
0.252 0.806 0.194
0.252 0.194 0.806
```

## Properties
- Volume: 22.931 A^3/atom
- Total magnetic moment: 0.0 μB per formula unit



A relaxed NaLaHfSnO6 crystal, computed with GGA-PBE.

Cell and atoms, written as POSCAR:
```
NaLaHfSnO6
1.0
0.000 -4.089 -4.089
4.089 0.000 -4.089
4.089 -4.089 0.000
La O Na Sn Hf
1 6 1 1 1
direct
0.250 0.250 0.250
0.750 0.250 0.750
0.250 0.250 0.750
0.250 0.750 0.750
0.750 0.250 0.250
0.250 0.750 0.250
0.750 0.750 0.250
0.750 0.750 0.750
0.500 0.500 0.500
0.000 0.000 0.000
```

## Properties
- Volume: 13.676 A^3/atom
- Total magnetic moment: 0.0 μB per formula unit



no.,mass density (g/cm3),ΔE_f (kcal/mol of atoms)
1,6.10,-50.720
2,2.46,0.684
3,4.38,-10.897
4,1.20,-8.442
5,6.76,-7.252
6,6.38,-54.596
7,7.65,-54.057
8,2.67,-51.240
9,1.26,-3.261
10,3.98,-27.402
11,6.74,-69.724